1.
Computed, not measured: a relaxed structure of Ca4P6O19 at the meta-GGA r2SCAN level of DFT.

Unit cell a=6.8651 b=9.1671 c=12.8216 alpha=109.69 beta=99.91 gamma=91.70
Last column: nearest neighbours and their distance in Å.
Positions (direct):
Ca (0.8110, 0.9919, 0.3654)  7 O 2.37-2.64
Ca (0.6472, 0.1290, 0.8781)  6 O 2.21-2.47
Ca (0.3528, 0.8710, 0.1219)  6 O 2.21-2.47
Ca (0.9018, 0.3506, 0.6666)  4 O 2.25-2.40
Ca (0.9739, 0.8165, 0.8518)  5 O 2.30-2.45
Ca (0.0982, 0.6494, 0.3334)  4 O 2.25-2.40
Ca (0.0261, 0.1835, 0.1482)  5 O 2.30-2.45
Ca (0.1890, 0.0081, 0.6346)  7 O 2.37-2.64
P (0.1260, 0.1871, 0.8810)  4 O 1.50-1.60
P (0.8740, 0.8129, 0.1190)  4 O 1.50-1.60
P (0.7963, 0.3696, 0.3794)  4 O 1.49-1.60
P (0.7272, 0.9477, 0.6246)  4 O 1.51-1.62
P (0.6270, 0.6688, 0.4165)  4 O 1.47-1.62
P (0.2878, 0.4617, 0.0932)  4 O 1.47-1.61
P (0.2037, 0.6304, 0.6206)  4 O 1.49-1.60
P (0.2728, 0.0523, 0.3754)  4 O 1.51-1.62
P (0.3730, 0.3312, 0.5835)  4 O 1.47-1.62
P (0.4644, 0.7593, 0.8487)  4 O 1.49-1.59
P (0.7122, 0.5383, 0.9068)  4 O 1.47-1.61
P (0.5356, 0.2407, 0.1513)  4 O 1.49-1.59
O (0.2442, 0.3476, 0.9671)  2 P 1.57-1.60
O (0.2198, 0.2675, 0.6310)  1 P 1.50
O (0.0057, 0.7737, 0.2100)  1 P 1.50
O (0.9943, 0.2263, 0.7900)  1 P 1.50
O (0.5756, 0.3807, 0.6505)  1 P 1.47
O (0.1597, 0.7228, 0.5450)  1 P 1.49
O (0.6924, 0.1863, 0.0836)  1 P 1.49
O (0.6128, 0.7846, 0.5362)  2 P 1.57-1.62
O (0.6613, 0.3810, 0.9056)  1 P 1.47
O (0.6129, 0.2732, 0.2821)  2 P 1.59-1.60
O (0.2891, 0.4770, 0.5516)  2 P 1.58-1.62
O (0.1110, 0.0950, 0.2976)  1 P 1.51
O (0.8890, 0.9050, 0.7024)  1 P 1.51
O (0.7109, 0.5230, 0.4484)  2 P 1.58-1.62
O (0.7802, 0.7325, 0.3690)  1 P 1.50
O (0.3509, 0.1336, 0.1215)  1 P 1.49
O (0.2883, 0.0880, 0.8367)  1 P 1.52
O (0.4904, 0.4047, 0.1446)  2 P 1.57-1.61
O (0.8710, 0.5668, 0.8476)  1 P 1.49
O (0.1798, 0.9667, 0.4410)  1 P 1.53
O (0.0033, 0.1167, 0.9443)  1 P 1.53
O (0.6491, 0.8664, 0.8785)  1 P 1.49
O (0.7558, 0.6524, 0.0329)  2 P 1.57-1.60
O (0.9523, 0.4059, 0.3217)  1 P 1.49
O (0.3871, 0.7268, 0.7179)  2 P 1.59-1.60
O (0.7117, 0.9120, 0.1633)  1 P 1.52
O (0.4381, 0.9733, 0.3203)  1 P 1.51
O (0.5619, 0.0267, 0.6797)  1 P 1.51
O (0.3387, 0.6190, 0.0944)  1 P 1.47
O (0.4244, 0.6193, 0.3495)  1 P 1.47
O (0.9967, 0.8833, 0.0557)  1 P 1.53
O (0.8403, 0.2772, 0.4550)  1 P 1.49
O (0.0477, 0.5941, 0.6783)  1 P 1.49
O (0.8202, 0.0333, 0.5590)  1 P 1.53
O (0.3872, 0.2154, 0.4638)  2 P 1.57-1.62
O (0.1290, 0.4332, 0.1524)  1 P 1.49
O (0.5096, 0.5953, 0.8554)  2 P 1.57-1.61
O (0.3076, 0.8137, 0.9164)  1 P 1.49

Computed properties:
SG: P-1 (2)
Formation energy from the elements: -82.7 eV per formula unit
Theoretical density: 2.9 g/cm³
Spin magnetization: 0.0 μB per formula unit


2.
Computed, not measured: a relaxed structure of SrCuN at the meta-GGA r2SCAN level of DFT.

Unit cell a=5.3647 b=9.0427 c=13.2143 alpha=90.00 beta=90.00 gamma=90.00
Last column: nearest neighbours and their distance in Å.
Positions (direct):
Sr (0.0037, 0.0203, 0.2500)  4 N 2.62-2.66
Sr (0.5037, 0.4797, 0.7500)  4 N 2.62-2.66
Sr (0.4963, 0.5203, 0.2500)  4 N 2.62-2.66
Sr (0.9963, 0.9797, 0.7500)  4 N 2.62-2.66
Sr (0.0165, 0.3388, 0.0863)  4 N 2.65-2.71
Sr (0.5165, 0.1612, 0.9137)  4 N 2.65-2.71
Sr (0.9835, 0.6612, 0.9137)  4 N 2.65-2.71
Sr (0.4835, 0.8388, 0.4137)  4 N 2.65-2.71
Sr (0.9835, 0.6612, 0.5863)  4 N 2.65-2.71
Sr (0.0165, 0.3388, 0.4137)  4 N 2.65-2.71
Sr (0.5165, 0.1612, 0.5863)  4 N 2.65-2.71
Sr (0.4835, 0.8388, 0.0863)  4 N 2.65-2.71
Cu (0.5154, 0.1756, 0.1573)  2 N 1.85-1.88
Cu (0.0000, 0.0000, 0.5000)  2 N 1.84
Cu (0.5000, 0.5000, 0.5000)  2 N 1.84
Cu (0.5000, 0.5000, 0.0000)  2 N 1.84
Cu (0.0000, 0.0000, 0.0000)  2 N 1.84
Cu (0.0154, 0.3244, 0.8427)  2 N 1.85-1.88
Cu (0.9846, 0.6756, 0.1573)  2 N 1.85-1.88
Cu (0.4846, 0.8244, 0.6573)  2 N 1.85-1.88
Cu (0.4846, 0.8244, 0.8427)  2 N 1.85-1.88
Cu (0.5154, 0.1756, 0.3427)  2 N 1.85-1.88
Cu (0.0154, 0.3244, 0.6573)  2 N 1.85-1.88
Cu (0.9846, 0.6756, 0.3427)  2 N 1.85-1.88
N (0.7393, 0.5870, 0.4197)  2 Cu 1.84-1.85
N (0.7127, 0.7437, 0.7500)  2 Cu 1.88
N (0.2127, 0.7563, 0.2500)  2 Cu 1.88
N (0.7873, 0.2437, 0.7500)  2 Cu 1.88
N (0.2873, 0.2563, 0.2500)  2 Cu 1.88
N (0.7607, 0.0870, 0.4197)  2 Cu 1.84-1.85
N (0.2607, 0.4130, 0.5803)  2 Cu 1.84-1.85
N (0.7393, 0.5870, 0.0803)  2 Cu 1.84-1.85
N (0.2393, 0.9130, 0.9197)  2 Cu 1.84-1.85
N (0.2393, 0.9130, 0.5803)  2 Cu 1.84-1.85
N (0.2607, 0.4130, 0.9197)  2 Cu 1.84-1.85
N (0.7607, 0.0870, 0.0803)  2 Cu 1.84-1.85

Computed properties:
SG: Pnma (62)
Formation energy from the elements: -1.7 eV per formula unit
Theoretical density: 5.1 g/cm³
Spin magnetization: 0.0 μB per formula unit


3.
Computed, not measured: a relaxed structure of PdPt at the meta-GGA r2SCAN level of DFT.

Unit cell a=2.7668 b=2.7668 c=4.8320 alpha=106.64 beta=73.36 gamma=120.00
Last column: nearest neighbours and their distance in Å.
Positions (direct):
Pd (0.0000, 0.0000, 0.0000)  6 Pd 2.77, 6 Pt 2.78
Pt (0.5000, 0.5000, 0.5000)  6 Pt 2.77, 6 Pd 2.78

Computed properties:
SG: R-3m (166)
Formation energy from the elements: -0.1 eV per formula unit
Theoretical density: 16.6 g/cm³
Spin magnetization: 0.0 μB per formula unit


4.
Computed, not measured: a relaxed structure of LaAl2Ge2 at the meta-GGA r2SCAN level of DFT.

Unit cell a=4.2782 b=4.2782 c=7.0780 alpha=90.00 beta=90.00 gamma=120.00
Last column: nearest neighbours and their distance in Å.
Positions (direct):
La (0.0000, 0.0000, 0.0000)  6 Ge 3.14
Al (0.6667, 0.3333, 0.3643)  4 Ge 2.55-2.57
Al (0.3333, 0.6667, 0.6357)  4 Ge 2.55-2.57
Ge (0.6667, 0.3333, 0.7269)  4 Al 2.55-2.57
Ge (0.3333, 0.6667, 0.2731)  4 Al 2.55-2.57

Computed properties:
SG: P-3m1 (164)
Formation energy from the elements: -2.8 eV per formula unit
Theoretical density: 5.0 g/cm³
Spin magnetization: 0.0 μB per formula unit


5.
Computed, not measured: a relaxed structure of Zn2BIr2 at the meta-GGA r2SCAN level of DFT.

Unit cell a=13.3393 b=13.3393 c=10.1908 alpha=90.00 beta=90.00 gamma=167.85
Last column: nearest neighbours and their distance in Å.
Positions (direct):
Zn (0.0888, 0.9112, 0.1197)  1 B 2.65, 5 Zn 2.65-2.82, 6 Ir 2.67-2.75
Zn (0.9112, 0.0888, 0.8803)  1 B 2.65, 5 Zn 2.65-2.82, 6 Ir 2.67-2.75
Zn (0.9112, 0.0888, 0.6197)  1 B 2.65, 5 Zn 2.65-2.82, 6 Ir 2.67-2.75
Zn (0.0888, 0.9112, 0.3803)  1 B 2.65, 5 Zn 2.65-2.82, 6 Ir 2.67-2.75
Zn (0.2391, 0.7609, 0.6105)  5 Ir 2.57-2.75, 1 B 2.66, 5 Zn 2.72-2.84
Zn (0.7609, 0.2391, 0.3895)  5 Ir 2.57-2.75, 1 B 2.66, 5 Zn 2.72-2.84
Zn (0.0000, 0.0000, 0.0000)  4 Zn 2.65-2.82, 8 Ir 2.67-2.96, 2 B 2.77
Zn (0.0000, 0.0000, 0.5000)  4 Zn 2.65-2.82, 8 Ir 2.67-2.96, 2 B 2.77
Zn (0.8199, 0.1801, 0.7500)  4 Ir 2.65, 8 Zn 2.76-2.93
Zn (0.1801, 0.8199, 0.2500)  4 Ir 2.65, 8 Zn 2.76-2.93
Zn (0.2391, 0.7609, 0.8895)  5 Ir 2.57-2.75, 1 B 2.66, 5 Zn 2.72-2.84
Zn (0.7609, 0.2391, 0.1105)  5 Ir 2.57-2.75, 1 B 2.66, 5 Zn 2.72-2.84
B (0.1389, 0.8611, 0.6053)  6 Ir 2.14-2.22
B (0.8611, 0.1389, 0.3947)  6 Ir 2.14-2.22
B (0.8611, 0.1389, 0.1053)  6 Ir 2.14-2.22
B (0.1389, 0.8611, 0.8947)  6 Ir 2.14-2.22
B (0.9595, 0.0405, 0.2500)  6 Ir 2.13-2.21
B (0.0405, 0.9595, 0.7500)  6 Ir 2.13-2.21
Ir (0.3312, 0.6688, 0.5320)  2 B 2.14
Ir (0.6688, 0.3312, 0.4680)  2 B 2.14
Ir (0.6688, 0.3312, 0.0320)  2 B 2.14
Ir (0.3312, 0.6688, 0.9680)  2 B 2.14
Ir (0.5197, 0.4803, 0.2500)  2 B 2.13
Ir (0.4803, 0.5197, 0.7500)  2 B 2.13
Ir (0.3282, 0.6718, 0.2500)  4 B 2.22
Ir (0.6718, 0.3282, 0.7500)  4 B 2.22
Ir (0.5746, 0.4254, 0.6087)  4 B 2.21
Ir (0.4254, 0.5746, 0.3913)  4 B 2.21
Ir (0.4254, 0.5746, 0.1087)  4 B 2.21
Ir (0.5746, 0.4254, 0.8913)  4 B 2.21

Computed properties:
SG: Cmcm (63)
Formation energy from the elements: -1.7 eV per formula unit
Theoretical density: 13.7 g/cm³
Spin magnetization: 0.0 μB per formula unit


6.
Computed, not measured: a relaxed structure of Pd4Se at the meta-GGA r2SCAN level of DFT.

Unit cell a=5.2807 b=5.2807 c=5.6886 alpha=90.00 beta=90.00 gamma=90.00
Last column: nearest neighbours and their distance in Å.
Positions (direct):
Pd (0.7684, 0.3708, 0.8445)  2 Se 2.47-2.51
Pd (0.8708, 0.2684, 0.3445)  2 Se 2.47-2.51
Pd (0.1292, 0.7316, 0.3445)  2 Se 2.47-2.51
Pd (0.6292, 0.7684, 0.1555)  2 Se 2.47-2.51
Pd (0.2684, 0.1292, 0.6555)  2 Se 2.47-2.51
Pd (0.7316, 0.8708, 0.6555)  2 Se 2.47-2.51
Pd (0.2316, 0.6292, 0.8445)  2 Se 2.47-2.51
Pd (0.3708, 0.2316, 0.1555)  2 Se 2.47-2.51
Se (0.5000, 0.5000, 0.5000)  8 Pd 2.47-2.51
Se (0.0000, 0.0000, 0.0000)  8 Pd 2.47-2.51

Computed properties:
SG: P-42_1c (114)
Formation energy from the elements: -0.8 eV per formula unit
Theoretical density: 10.6 g/cm³
Spin magnetization: 0.0 μB per formula unit


Question: Which value of formation energy from the elements does entry 3 give?
Answer: -0.1 eV per formula unit


Question: What is the spin magnetization in the fourth record?
Answer: 0.0 μB per formula unit


Question: Which formula does entry 3 have?
Answer: PdPt